[1]
! HfZrZn2 | the Materials Project | PBE | relaxed; values from VASP
&SYSTEM
  ibrav = 0, nat = 4, ntyp = 3
/
ATOMIC_SPECIES
Hf 178.49 Hf.upf
Zr 91.22 Zr.upf
Zn 65.41 Zn.upf
CELL_PARAMETERS angstrom
0.0000 3.3246 3.3246
3.3246 0.0000 3.3246
3.3246 3.3246 0.0000
ATOMIC_POSITIONS angstrom
Hf 0.0000 0.0000 0.0000
Zr 3.3246 3.3246 3.3246
Zn 1.6623 1.6623 1.6623
Zn 4.9870 4.9870 4.9870
! **Space group**: Fm-3m (225)

[2]
! Be17Nb2 | the Materials Project | PBE | relaxed; values from VASP
&SYSTEM
  ibrav = 0, nat = 19, ntyp = 2
/
ATOMIC_SPECIES
Be 9.01 Be.upf
Nb 92.91 Nb.upf
CELL_PARAMETERS angstrom
3.6904 2.1306 3.5745
-3.6904 2.1306 3.5745
0.0000 -4.2612 3.5745
ATOMIC_POSITIONS angstrom
Be -3.6903 0.0000 5.3617
Be -1.0837 -2.3841 3.5745
Be -1.8452 1.0653 1.7872
Be -2.6066 0.2535 3.5745
Be 0.0000 0.0000 1.0607
Be -1.8185 -1.0499 5.2439
Be 1.0837 -2.3841 3.5745
Be -1.5229 2.1306 3.5745
Be 0.0000 -2.0998 5.4796
Be -1.8185 1.0499 5.4796
Be 1.8452 1.0653 1.7872
Be 1.8185 -1.0499 5.2439
Be 0.0000 2.0998 5.2439
Be 2.6066 0.2535 3.5745
Be 1.5228 2.1306 3.5745
Be 1.8185 1.0499 5.4796
Be 0.0000 0.0000 9.6627
Nb 0.0000 0.0000 3.6580
Nb 0.0000 0.0000 7.0655
! **Space group**: R-3m (166)

[3]
! La2Sn3 | the Materials Project | PBE | relaxed; values from VASP
&SYSTEM
  ibrav = 0, nat = 20, ntyp = 2
/
ATOMIC_SPECIES
La 138.91 La.upf
Sn 118.71 Sn.upf
CELL_PARAMETERS angstrom
6.5738 0.0000 0.0000
-1.5307 8.5693 0.0000
-1.3435 -3.6912 10.7104
ATOMIC_POSITIONS angstrom
La -0.6984 0.4885 4.7577
La -0.7514 -1.0861 9.4653
La 1.0382 3.6574 2.6196
La 2.5825 -0.0094 1.7540
La 1.1171 4.8875 8.9564
La 2.6615 1.2207 8.0909
La 4.4511 5.9641 1.2452
La 4.3981 4.3896 5.9527
Sn -2.1573 4.0610 9.4097
Sn -0.6255 1.9451 7.7527
Sn -0.4097 6.4169 3.9131
Sn 1.1204 -1.4856 6.8334
Sn -0.0252 2.0230 10.6826
Sn 1.1078 3.6940 5.8989
Sn 2.5919 1.1841 4.8116
Sn 3.7248 2.8551 0.0278
Sn 2.5792 6.3637 3.8770
Sn 4.1093 -1.5388 6.7974
Sn 4.3252 2.9330 2.9577
Sn 5.8569 0.8171 1.3008
! **Space group**: P-1 (2)

[4]
! Mg6AlB | the Materials Project | PBE | relaxed; values from VASP
&SYSTEM
  ibrav = 0, nat = 16, ntyp = 3
/
ATOMIC_SPECIES
Mg 24.30 Mg.upf
B 10.81 B.upf
Al 26.98 Al.upf
CELL_PARAMETERS angstrom
4.9561 0.0000 0.0000
0.0000 5.9864 0.0000
0.0000 0.0000 10.4616
ATOMIC_POSITIONS angstrom
Mg 0.0000 4.5502 6.1616
Mg 0.0000 0.0000 3.4913
Mg 2.4780 2.9932 6.9681
Mg 0.0000 2.9932 8.7221
Mg 0.0000 1.4362 6.1616
Mg 2.4780 1.4737 9.5474
Mg 2.4780 4.5126 9.5474
Mg 2.4780 1.5194 4.3166
Mg 2.4780 0.0000 1.7373
Mg 0.0000 1.5570 0.9308
Mg 2.4780 4.4669 4.3166
Mg 0.0000 4.4293 0.9308
B 2.4780 2.9932 1.7298
B 2.4780 0.0000 6.9606
Al 0.0000 0.0000 8.7009
Al 0.0000 2.9932 3.4701
! **M_tot**: 0.000 μB/atom
! **Relative energy among the computed polymorphs**: 0.6 kJ/mol of atoms

[5]
! Te4Mo3WSe2S2 | the Materials Project | PBE | relaxed; values from VASP
&SYSTEM
  ibrav = 0, nat = 12, ntyp = 5
/
ATOMIC_SPECIES
Te 127.60 Te.upf
Mo 95.94 Mo.upf
W 183.84 W.upf
Se 78.96 Se.upf
S 32.06 S.upf
CELL_PARAMETERS angstrom
3.3980 0.0000 0.0000
-1.6990 2.9428 0.0000
0.0000 0.0000 38.6976
ATOMIC_POSITIONS angstrom
Te 0.0000 0.0000 0.0000
Te 0.0000 0.0000 3.7483
Te 0.0000 1.9618 16.8872
Te 0.0000 1.9618 20.6359
Mo 0.0000 0.0000 18.7602
Mo 0.0000 1.9618 1.8753
Mo 0.0000 1.9618 26.0304
W 0.0000 0.0000 33.3000
Se 0.0000 1.9618 31.6429
Se 0.0000 1.9618 34.9568
S 0.0000 0.0000 24.5289
S 0.0000 0.0000 27.5324
! **M_tot**: 0.000 μB/atom
! **Space group**: P3m1 (156)
! **Relative energy among the computed polymorphs**: 1.5 kJ/mol of atoms
! **Total energy after the MP2020 corrections**: -6.632 eV per atom

[6]
! VB2 | the Materials Project | PBE | relaxed; values from VASP
&SYSTEM
  ibrav = 0, nat = 3, ntyp = 2
/
ATOMIC_SPECIES
V 50.94 V.upf
B 10.81 B.upf
CELL_PARAMETERS angstrom
2.9982 0.0000 0.0000
-1.4991 2.5965 0.0000
0.0000 0.0000 3.0298
ATOMIC_POSITIONS angstrom
V 0.0000 0.0000 0.0000
B 0.0000 1.7310 1.5149
B 1.4991 0.8655 1.5149
! **Space group**: P6/mmm (191)

[7]
! LuZn2 | the Materials Project | PBE | relaxed; values from VASP
&SYSTEM
  ibrav = 0, nat = 6, ntyp = 2
/
ATOMIC_SPECIES
Lu 174.97 Lu.upf
Zn 65.41 Zn.upf
CELL_PARAMETERS angstrom
-2.2119 3.4737 3.7511
2.2119 -3.4737 3.7511
2.2119 3.4737 -3.7511
ATOMIC_POSITIONS angstrom
Lu 0.0000 1.7368 0.2711
Lu 2.2119 1.7368 3.4799
Zn 2.2119 -0.3221 1.2430
Zn 2.2119 3.1516 -1.2430
Zn 0.0000 0.3221 4.9941
Zn 0.0000 3.7958 2.5081
! **Space group**: Imma (74)

[8]
! Ta3N5 | the Materials Project | PBE | relaxed; values from VASP
&SYSTEM
  ibrav = 0, nat = 32, ntyp = 2
/
ATOMIC_SPECIES
Ta 180.95 Ta.upf
N 14.01 N.upf
CELL_PARAMETERS angstrom
10.9904 0.0000 0.0000
0.0000 2.9673 0.0000
0.0000 0.0000 9.6136
ATOMIC_POSITIONS angstrom
Ta 1.2813 0.7418 2.3950
Ta 1.3825 2.2255 5.6825
Ta 1.4622 0.7418 8.8764
Ta 4.0330 2.2255 4.0696
Ta 4.1127 0.7418 0.8757
Ta 4.2139 2.2255 7.2018
Ta 6.7765 0.7418 2.4118
Ta 6.8777 2.2255 8.7379
Ta 6.9573 0.7418 5.5440
Ta 9.5282 2.2255 0.7372
Ta 9.6079 0.7418 3.9311
Ta 9.7091 2.2255 7.2185
N 0.2700 2.2255 3.7550
N 0.7539 2.2255 7.6490
N 0.8217 2.2255 0.7690
N 2.3629 0.7418 4.3653
N 2.6166 0.7418 6.9550
N 2.8786 2.2255 2.1482
N 3.1323 2.2255 9.1721
N 4.6735 0.7418 5.5758
N 4.7413 0.7418 2.8422
N 5.2252 0.7418 8.5618
N 5.7652 2.2255 1.0518
N 6.2491 2.2255 6.7714
N 6.3168 2.2255 4.0378
N 7.8581 0.7418 0.4415
N 8.1118 0.7418 7.4654
N 8.3738 2.2255 2.6586
N 8.6275 2.2255 5.2483
N 10.1687 0.7418 8.8446
N 10.2365 0.7418 1.9646
N 10.7204 0.7418 5.8585
! **M_tot**: 0.000 μB/atom
! **Space group**: Pnma (62)
! **Relative energy among the computed polymorphs**: 16.0 kJ/mol of atoms
! **Total energy after the MP2020 corrections**: -10.763 eV per atom

[9]
! KMnCu3Se4 | the Materials Project | PBE | relaxed; values from VASP
&SYSTEM
  ibrav = 0, nat = 9, ntyp = 4
/
ATOMIC_SPECIES
K 39.10 K.upf
Mn 54.94 Mn.upf
Cu 63.55 Cu.upf
Se 78.96 Se.upf
CELL_PARAMETERS angstrom
6.0597 0.0000 0.0000
0.0000 6.0597 0.0000
0.0000 0.0000 6.0597
ATOMIC_POSITIONS angstrom
K 0.0000 0.0000 0.0000
Mn 3.0299 3.0299 3.0299
Cu 0.0000 3.0299 3.0299
Cu 3.0299 0.0000 3.0299
Cu 3.0299 3.0299 0.0000
Se 1.6923 1.6923 4.3675
Se 1.6923 4.3675 1.6923
Se 4.3675 1.6923 1.6923
Se 4.3675 4.3675 4.3675
! **M_tot**: 0.333 μB/atom
! **Space group**: P-43m (215)
! **Total energy after the MP2020 corrections**: -4.625 eV per atom

[10]
! CsIOF4 | the Materials Project | PBE | relaxed; values from VASP
&SYSTEM
  ibrav = 0, nat = 28, ntyp = 4
/
ATOMIC_SPECIES
Cs 132.91 Cs.upf
I 126.90 I.upf
O 16.00 O.upf
F 19.00 F.upf
CELL_PARAMETERS angstrom
6.3303 0.0000 0.0000
0.0000 6.1536 0.0000
0.0000 0.0000 15.7993
ATOMIC_POSITIONS angstrom
Cs 1.3970 1.5384 1.6308
Cs 1.7681 4.6152 9.5305
Cs 4.5622 1.5384 6.2688
Cs 4.9333 4.6152 14.1684
I 1.4290 1.5384 13.2641
I 1.7362 4.6152 5.3645
I 4.5942 1.5384 10.4348
I 4.9013 4.6152 2.5352
O 0.0668 4.6152 1.5867
O 3.0984 1.5384 9.4863
O 3.2320 4.6152 6.3130
O 6.2635 1.5384 14.2126
F 0.6464 0.1130 12.0465
F 0.6464 2.9638 12.0465
F 0.9637 3.2102 6.5705
F 0.9637 6.0202 6.5705
F 2.2015 0.1334 14.4701
F 2.2015 2.9434 14.4701
F 2.5188 3.1898 4.1469
F 2.5188 6.0406 4.1469
F 3.8115 0.1130 11.6523
F 3.8115 2.9638 11.6523
F 4.1288 3.2102 1.3292
F 4.1288 6.0202 1.3292
F 5.3666 0.1334 9.2288
F 5.3666 2.9434 9.2288
F 5.6839 3.1898 3.7527
F 5.6839 6.0406 3.7527
! **Space group**: Pnma (62)
! **Total energy after the MP2020 corrections**: -4.315 eV per atom

[11]
! LaPrMg2 | the Materials Project | PBE | relaxed; values from VASP
&SYSTEM
  ibrav = 0, nat = 4, ntyp = 3
/
ATOMIC_SPECIES
La 138.91 La.upf
Pr 140.91 Pr.upf
Mg 24.30 Mg.upf
CELL_PARAMETERS angstrom
0.0000 3.9349 3.9349
3.9349 0.0000 3.9349
3.9349 3.9349 0.0000
ATOMIC_POSITIONS angstrom
La 0.0000 0.0000 0.0000
Pr 3.9349 3.9349 3.9349
Mg 1.9674 1.9674 1.9674
Mg 5.9023 5.9023 5.9023
! **Space group**: Fm-3m (225)

[12]
! K2Gd2Sb2Se9 | the Materials Project | PBE | relaxed; values from VASP
&SYSTEM
  ibrav = 0, nat = 60, ntyp = 4
/
ATOMIC_SPECIES
K 39.10 K.upf
Gd 157.25 Gd.upf
Sb 121.76 Sb.upf
Se 78.96 Se.upf
CELL_PARAMETERS angstrom
11.5620 -4.2349 0.0000
11.5620 4.2349 0.0000
-11.5358 0.0000 17.8490
ATOMIC_POSITIONS angstrom
K -3.2423 2.1309 16.8378
K 2.5311 2.1173 9.9297
K 9.0571 2.1173 7.9193
K 14.8305 2.1309 1.0112
K -3.2423 -2.1309 16.8378
K 2.5311 -2.1173 9.9297
K 9.0571 -2.1173 7.9193
K 14.8305 -2.1309 1.0112
Gd -1.3275 2.1128 12.5515
Gd 7.1323 2.1090 3.6325
Gd 4.4559 2.1090 14.2165
Gd 12.9158 2.1128 5.2975
Gd -1.3275 -2.1128 12.5515
Gd 7.1323 -2.1090 3.6325
Gd 4.4559 -2.1090 14.2165
Gd 12.9158 -2.1128 5.2975
Sb -0.5273 0.0000 1.9307
Sb -5.2687 0.0000 10.8677
Sb 5.0861 0.0000 6.5313
Sb 0.6951 0.0000 15.4367
Sb 10.8931 0.0000 2.4123
Sb 6.5021 0.0000 11.3177
Sb 16.8569 0.0000 6.9812
Sb 12.1155 0.0000 15.9183
Se -7.6098 0.0000 12.1294
Se 4.4337 2.0607 5.0081
Se -7.9025 0.0000 16.1486
Se 1.8037 0.0000 3.1822
Se -0.2226 0.0000 6.6012
Se -5.5457 0.0000 15.5461
Se -2.1740 0.0000 10.5825
Se 1.3731 2.0593 13.9250
Se 5.7941 2.3093 8.9245
Se 11.5620 2.3051 0.0000
Se 2.0904 0.0000 7.3137
Se 5.6151 0.0000 2.2827
Se 10.2151 2.0593 3.9239
Se 0.1780 0.0000 11.1783
Se -1.8172 0.0000 14.6008
Se 7.9298 0.0000 1.5686
Se 7.1545 2.0607 12.8409
Se 7.5879 0.0000 5.7061
Se 4.0003 0.0000 12.1429
Se 4.4337 -2.0607 5.0081
Se 3.6584 0.0000 16.2804
Se 13.4054 0.0000 3.2482
Se 11.4102 0.0000 6.6707
Se 1.3731 -2.0593 13.9250
Se 5.9731 0.0000 15.5662
Se 9.4978 0.0000 10.5352
Se 11.5620 -2.3051 0.0000
Se 5.7941 -2.3093 8.9245
Se 10.2151 -2.0593 3.9239
Se 13.7622 0.0000 7.2665
Se 17.1340 0.0000 2.3029
Se 11.8108 0.0000 11.2478
Se 9.7846 0.0000 14.6667
Se 19.4908 0.0000 1.7004
Se 7.1545 -2.0607 12.8409
Se 19.1981 0.0000 5.7195
! **M_tot**: 0.933 μB/atom
! **Space group**: C2/m (12)
! **Total energy after the MP2020 corrections**: -5.997 eV per atom

[13]
! Ce3Si2Rh2 | the Materials Project | PBE | relaxed; values from VASP
&SYSTEM
  ibrav = 0, nat = 28, ntyp = 3
/
ATOMIC_SPECIES
Ce 140.12 Ce.upf
Si 28.09 Si.upf
Rh 102.91 Rh.upf
CELL_PARAMETERS angstrom
5.5473 0.0000 0.0000
0.0000 7.9528 0.0000
0.0000 0.0000 13.1738
ATOMIC_POSITIONS angstrom
Ce 0.7870 0.8865 1.3100
Ce 0.7870 0.8865 5.2769
Ce 0.7870 3.0898 7.8969
Ce 0.7870 3.0898 11.8638
Ce 1.9735 5.8968 9.8804
Ce 1.9735 6.0324 3.2935
Ce 3.5739 1.9204 9.8804
Ce 3.5739 2.0560 3.2935
Ce 4.7604 4.8629 1.3100
Ce 4.7604 4.8629 5.2769
Ce 4.7604 7.0662 7.8969
Ce 4.7604 7.0662 11.8638
Si 0.8076 0.7641 9.8804
Si 0.8076 3.2123 3.2935
Si 1.9606 5.9646 0.0000
Si 1.9606 5.9646 6.5869
Si 3.5867 1.9882 0.0000
Si 3.5867 1.9882 6.5869
Si 4.7397 4.7405 9.8804
Si 4.7397 7.1887 3.2935
Rh 2.0940 0.2725 7.8068
Rh 2.0940 0.2725 11.9540
Rh 2.0940 3.7038 1.2199
Rh 2.0940 3.7038 5.3670
Rh 3.4534 4.2489 7.8068
Rh 3.4534 4.2489 11.9540
Rh 3.4534 7.6802 1.2199
Rh 3.4534 7.6802 5.3670
! **M_tot**: 0.001 μB/atom
! **Space group**: Pbcm (57)

[14]
! Sc2CuPt | the Materials Project | PBE | relaxed; values from VASP
&SYSTEM
  ibrav = 0, nat = 4, ntyp = 3
/
ATOMIC_SPECIES
Sc 44.96 Sc.upf
Cu 63.55 Cu.upf
Pt 195.08 Pt.upf
CELL_PARAMETERS angstrom
0.0000 3.2730 3.2730
3.2730 0.0000 3.2730
3.2730 3.2730 0.0000
ATOMIC_POSITIONS angstrom
Sc 1.6365 1.6365 1.6365
Sc 4.9095 4.9095 4.9095
Cu 0.0000 0.0000 0.0000
Pt 3.2730 3.2730 3.2730
! **Space group**: Fm-3m (225)

[15]
! Sm3Si2S8I | the Materials Project | PBE | relaxed; values from VASP
&SYSTEM
  ibrav = 0, nat = 28, ntyp = 4
/
ATOMIC_SPECIES
Sm 150.36 Sm.upf
Si 28.09 Si.upf
S 32.06 S.upf
I 126.90 I.upf
CELL_PARAMETERS angstrom
7.9507 -3.8946 0.0000
7.9507 3.8946 0.0000
-1.5789 0.0000 10.6874
ATOMIC_POSITIONS angstrom
Sm 6.7664 3.0903 8.0156
Sm 4.2674 0.9661 3.4050
Sm 3.4779 -0.9661 8.7487
Sm 10.8445 0.9661 1.9387
Sm 10.0550 -0.9661 7.2824
Sm 7.5559 -3.0903 2.6719
Si 2.4874 0.2913 0.2962
Si 1.6979 -0.2913 5.6399
Si 12.6244 0.2913 5.0475
Si 11.8350 -0.2913 10.3912
S 1.0464 0.7645 8.9169
S 6.1457 2.6653 4.9165
S 4.3116 1.9625 9.1166
S 3.5652 0.5363 6.2651
S 8.9662 2.6653 0.4272
S 1.8359 -0.7645 3.5732
S 4.3547 -0.5363 0.9213
S 9.2213 1.9625 6.9145
S 5.1011 -1.9625 3.7729
S 9.9677 0.5363 9.7661
S 12.4865 0.7645 7.1143
S 5.3562 -2.6653 10.2602
S 10.7572 -0.5363 4.4224
S 10.0107 -1.9625 1.5708
S 8.1767 -2.6653 5.7709
S 13.2759 -0.7645 1.7706
I 7.5559 0.1179 2.6719
I 6.7664 -0.1179 8.0156
! **M_tot**: 0.000 μB/atom
! **Space group**: C2/c (15)
! **Total energy after the MP2020 corrections**: -5.999 eV per atom

[16]
! Tm4Al | the Materials Project | PBE | relaxed; values from VASP
&SYSTEM
  ibrav = 0, nat = 10, ntyp = 2
/
ATOMIC_SPECIES
Tm 168.93 Tm.upf
Al 26.98 Al.upf
CELL_PARAMETERS angstrom
0.0000 5.5074 5.5074
5.5074 0.0000 5.5074
5.5074 5.5074 0.0000
ATOMIC_POSITIONS angstrom
Tm 8.4718 5.2966 5.2966
Tm 2.5429 2.5429 2.5429
Tm 5.7181 5.7181 2.5429
Tm 5.7181 2.5429 5.7181
Tm 5.2966 8.4718 5.2966
Tm 5.2966 5.2966 8.4718
Tm 8.4718 8.4718 8.4718
Tm 2.5429 5.7181 5.7181
Al 4.1305 4.1305 4.1305
Al 6.8842 6.8842 6.8842
! **M_tot**: 0.103 μB/atom
! **Space group**: Fd-3m (227)

no.,calculated total energy (Ry/atom),volume (Å³/cell)
1,-0.4040,73.50
2,-0.3386,168.63
3,-0.3775,603.35
4,-0.1571,310.38
5,-0.4813,386.96
6,-0.6041,23.59
7,-0.2005,115.29
8,-0.7745,313.52
9,-0.3245,222.52
10,-0.2905,615.45
11,-0.2452,121.85
12,-0.4199,1747.89
13,-0.5184,581.18
14,-0.4783,70.12
15,-0.4178,661.87
16,-0.2796,334.09